[1]
! Ca2Mg | Materials Project | r²SCAN | optimized geometry; values from VASP
! ΔH_f (0 K)   -16.5 meV/atom
! Uncorrected energy   -36.591 eV/cell
&SYSTEM
  ibrav = 0, nat = 6, ntyp = 2
/
ATOMIC_SPECIES
Ca 40.08 Ca.upf
Mg 24.30 Mg.upf
CELL_PARAMETERS angstrom
1.963 -9.161 0.000
1.963 9.161 0.000
0.000 0.000 5.896
ATOMIC_POSITIONS crystal
Ca 0.085 0.915 0.250
Ca 0.780 0.220 0.250
Ca 0.220 0.780 0.750
Ca 0.915 0.085 0.750
Mg 0.433 0.567 0.250
Mg 0.567 0.433 0.750



[2]
! TmMnRh2 | Materials Project | r²SCAN | optimized geometry; values from VASP
! ΔH_f (0 K)   -780.9 meV/atom
! Uncorrected energy   -101.200 eV/cell
&SYSTEM
  ibrav = 0, nat = 4, ntyp = 3
/
ATOMIC_SPECIES
Tm 168.93 Tm.upf
Mn 54.94 Mn.upf
Rh 102.91 Rh.upf
CELL_PARAMETERS angstrom
-3.386 -2.168 2.084
-1.278 1.264 4.155
-3.978 2.070 0.613
ATOMIC_POSITIONS crystal
Tm 0.750 0.750 0.750
Mn 0.250 0.250 0.250
Rh 0.000 0.000 0.000
Rh 0.500 0.500 0.500



[3]
! Ba3TmB3O9 | Materials Project | r²SCAN | optimized geometry; values from VASP
! ΔH_f (0 K)   -3166.3 meV/atom
! Uncorrected energy   -1446.437 eV/cell
&SYSTEM
  ibrav = 0, nat = 96, ntyp = 4
/
ATOMIC_SPECIES
Ba 137.33 Ba.upf
Tm 168.93 Tm.upf
B 10.81 B.upf
O 16.00 O.upf
CELL_PARAMETERS angstrom
-1.152 5.037 7.886
-5.300 1.832 -7.579
-11.983 -11.505 5.598
ATOMIC_POSITIONS crystal
Ba 0.680 0.680 0.870
Ba 0.000 0.680 0.370
Ba 0.680 0.000 0.370
Ba 0.320 0.000 0.870
Ba 0.000 0.320 0.870
Ba 0.320 0.320 0.370
Ba 0.654 0.654 0.627
Ba 0.000 0.654 0.127
Ba 0.654 0.000 0.127
Ba 0.346 0.000 0.627
Ba 0.000 0.346 0.627
Ba 0.346 0.346 0.127
Ba 0.333 0.667 0.274
Ba 0.667 0.333 0.774
Ba 0.333 0.667 0.774
Ba 0.667 0.333 0.274
Ba 0.000 0.000 0.717
Ba 0.000 0.000 0.217
Tm 0.333 0.667 0.996
Tm 0.667 0.333 0.496
Tm 0.333 0.667 0.496
Tm 0.667 0.333 0.996
Tm 0.000 0.000 0.501
Tm 0.000 0.000 0.001
B 0.660 0.660 0.421
B 0.000 0.660 0.921
B 0.660 0.000 0.921
B 0.340 0.000 0.421
B 0.000 0.340 0.421
B 0.340 0.340 0.921
B 0.667 0.667 0.248
B 0.000 0.667 0.748
B 0.667 0.000 0.748
B 0.333 0.000 0.248
B 0.000 0.333 0.248
B 0.333 0.333 0.748
B 0.673 0.673 0.072
B 0.000 0.673 0.572
B 0.673 0.000 0.572
B 0.327 0.000 0.072
B 0.000 0.327 0.072
B 0.327 0.327 0.572
O 0.806 0.806 0.430
O 0.000 0.806 0.930
O 0.806 0.000 0.930
O 0.194 0.000 0.430
O 0.000 0.194 0.430
O 0.194 0.194 0.930
O 0.661 0.147 0.916
O 0.853 0.514 0.916
O 0.486 0.339 0.916
O 0.514 0.661 0.416
O 0.339 0.853 0.416
O 0.147 0.486 0.416
O 0.661 0.514 0.416
O 0.147 0.661 0.916
O 0.514 0.853 0.916
O 0.486 0.147 0.416
O 0.853 0.339 0.416
O 0.339 0.486 0.916
O 0.520 0.520 0.247
O 0.000 0.520 0.747
O 0.520 0.000 0.747
O 0.480 0.000 0.247
O 0.000 0.480 0.247
O 0.480 0.480 0.747
O 0.814 0.147 0.748
O 0.853 0.667 0.748
O 0.333 0.186 0.748
O 0.667 0.814 0.248
O 0.186 0.853 0.248
O 0.147 0.333 0.248
O 0.814 0.667 0.248
O 0.147 0.814 0.748
O 0.667 0.853 0.748
O 0.333 0.147 0.248
O 0.853 0.186 0.248
O 0.186 0.333 0.748
O 0.674 0.146 0.567
O 0.854 0.527 0.567
O 0.473 0.326 0.567
O 0.527 0.674 0.067
O 0.326 0.854 0.067
O 0.146 0.473 0.067
O 0.674 0.527 0.067
O 0.146 0.674 0.567
O 0.527 0.854 0.567
O 0.473 0.146 0.067
O 0.854 0.326 0.067
O 0.326 0.473 0.567
O 0.819 0.819 0.081
O 0.000 0.819 0.581
O 0.819 0.000 0.581
O 0.181 0.000 0.081
O 0.000 0.181 0.081
O 0.181 0.181 0.581



[4]
! BaAs2 | Materials Project | r²SCAN | optimized geometry; values from VASP
! ΔH_f (0 K)   -928.7 meV/atom
! Uncorrected energy   -352.204 eV/cell
&SYSTEM
  ibrav = 0, nat = 18, ntyp = 2
/
ATOMIC_SPECIES
Ba 137.33 Ba.upf
As 74.92 As.upf
CELL_PARAMETERS angstrom
-3.515 1.605 -5.416
4.091 -4.824 -2.075
-8.747 -8.745 3.086
ATOMIC_POSITIONS crystal
Ba 0.354 0.180 0.773
Ba 0.854 0.680 0.227
Ba 0.993 0.548 0.916
Ba 0.493 0.048 0.084
Ba 0.643 0.750 0.577
Ba 0.143 0.250 0.423
As 0.167 0.841 0.578
As 0.667 0.341 0.422
As 0.254 0.789 0.393
As 0.754 0.289 0.607
As 0.108 0.496 0.654
As 0.608 0.996 0.346
As 0.009 0.010 0.013
As 0.509 0.510 0.987
As 0.330 0.535 0.151
As 0.830 0.035 0.849
As 0.996 0.250 0.155
As 0.496 0.750 0.845



[5]
! ZnCoF6 | Materials Project | r²SCAN | optimized geometry; values from VASP
! ΔH_f (0 K)   -2091.8 meV/atom
! Uncorrected energy   -57.635 eV/cell
&SYSTEM
  ibrav = 0, nat = 8, ntyp = 3
/
ATOMIC_SPECIES
Zn 65.41 Zn.upf
Co 58.93 Co.upf
F 19.00 F.upf
CELL_PARAMETERS angstrom
4.548 -2.439 0.060
4.548 2.438 0.060
3.188 0.000 4.059
ATOMIC_POSITIONS crystal
Zn 0.500 0.500 0.500
Co 0.000 0.000 0.000
F 0.628 0.905 0.230
F 0.905 0.230 0.628
F 0.770 0.372 0.095
F 0.095 0.770 0.372
F 0.372 0.095 0.770
F 0.230 0.628 0.905



[6]
! MnB2Mo2 | Materials Project | r²SCAN | optimized geometry; values from VASP
! ΔH_f (0 K)   -518.9 meV/atom
! Uncorrected energy   -168.229 eV/cell
&SYSTEM
  ibrav = 0, nat = 10, ntyp = 3
/
ATOMIC_SPECIES
Mn 54.94 Mn.upf
B 10.81 B.upf
Mo 95.94 Mo.upf
CELL_PARAMETERS angstrom
-4.351 -3.569 -1.509
3.518 -2.690 -3.785
0.878 -2.022 2.253
ATOMIC_POSITIONS crystal
Mn 0.500 0.500 0.000
Mn 0.000 0.000 0.000
B 0.111 0.611 0.000
B 0.889 0.389 0.000
B 0.611 0.889 0.000
B 0.389 0.111 0.000
Mo 0.678 0.178 0.500
Mo 0.322 0.822 0.500
Mo 0.178 0.322 0.500
Mo 0.822 0.678 0.500



[7]
! NdPd3 | Materials Project | r²SCAN | optimized geometry; values from VASP
! ΔH_f (0 K)   -810.4 meV/atom
! Uncorrected energy   -101.541 eV/cell
&SYSTEM
  ibrav = 0, nat = 4, ntyp = 2
/
ATOMIC_SPECIES
Nd 144.24 Nd.upf
Pd 106.42 Pd.upf
CELL_PARAMETERS angstrom
4.170 0.000 0.000
0.000 4.170 0.000
0.000 0.000 4.170
ATOMIC_POSITIONS crystal
Nd 0.000 0.000 0.000
Pd 0.500 0.000 0.500
Pd 0.000 0.500 0.500
Pd 0.500 0.500 0.000



[8]
! Ba2CaP4H6O16 | Materials Project | r²SCAN | optimized geometry; values from VASP
! ΔH_f (0 K)   -2354.2 meV/atom
! Uncorrected energy   -561.218 eV/cell
&SYSTEM
  ibrav = 0, nat = 58, ntyp = 5
/
ATOMIC_SPECIES
Ba 137.33 Ba.upf
Ca 40.08 Ca.upf
P 30.97 P.upf
H 1.01 H.upf
O 16.00 O.upf
CELL_PARAMETERS angstrom
10.190 0.000 0.000
0.000 5.499 0.008
0.000 2.250 12.142
ATOMIC_POSITIONS crystal
Ba 0.656 0.859 0.824
Ba 0.844 0.859 0.324
Ba 0.156 0.141 0.676
Ba 0.344 0.141 0.176
Ca 0.500 0.000 0.500
Ca 0.000 0.000 0.000
P 0.306 0.763 0.945
P 0.194 0.763 0.445
P 0.992 0.587 0.798
P 0.508 0.587 0.298
P 0.492 0.413 0.702
P 0.008 0.413 0.202
P 0.806 0.237 0.555
P 0.694 0.237 0.055
H 0.035 0.703 0.566
H 0.327 0.619 0.758
H 0.182 0.437 0.936
H 0.682 0.563 0.564
H 0.465 0.703 0.066
H 0.827 0.381 0.742
H 0.173 0.619 0.258
H 0.535 0.297 0.934
H 0.318 0.437 0.436
H 0.818 0.563 0.064
H 0.673 0.381 0.242
H 0.965 0.297 0.434
O 0.307 0.837 0.822
O 0.990 0.819 0.847
O 0.453 0.756 0.983
O 0.272 0.926 0.507
O 0.193 0.837 0.322
O 0.510 0.819 0.347
O 0.047 0.756 0.483
O 0.228 0.926 0.007
O 0.060 0.628 0.686
O 0.557 0.636 0.628
O 0.260 0.484 0.979
O 0.843 0.524 0.782
O 0.343 0.476 0.718
O 0.760 0.516 0.521
O 0.057 0.364 0.872
O 0.560 0.372 0.814
O 0.440 0.628 0.186
O 0.943 0.636 0.128
O 0.240 0.484 0.479
O 0.657 0.524 0.282
O 0.157 0.476 0.218
O 0.740 0.516 0.021
O 0.443 0.364 0.372
O 0.940 0.372 0.314
O 0.772 0.074 0.993
O 0.953 0.244 0.517
O 0.490 0.181 0.653
O 0.807 0.163 0.678
O 0.728 0.074 0.493
O 0.547 0.244 0.017
O 0.010 0.181 0.153
O 0.693 0.163 0.178



[9]
! DyCu | Materials Project | r²SCAN | optimized geometry; values from VASP
! ΔH_f (0 K)   -265.9 meV/atom
! Uncorrected energy   -43.360 eV/cell
&SYSTEM
  ibrav = 0, nat = 2, ntyp = 2
/
ATOMIC_SPECIES
Dy 162.50 Dy.upf
Cu 63.55 Cu.upf
CELL_PARAMETERS angstrom
-0.846 1.795 -2.805
-0.650 -2.928 -1.677
-3.266 0.118 1.060
ATOMIC_POSITIONS crystal
Dy 0.000 0.000 0.000
Cu 0.500 0.500 0.500



[10]
! Nd4MgNi | Materials Project | r²SCAN | optimized geometry; values from VASP
! ΔH_f (0 K)   -156.2 meV/atom
! Uncorrected energy   -539.040 eV/cell
&SYSTEM
  ibrav = 0, nat = 24, ntyp = 3
/
ATOMIC_SPECIES
Nd 144.24 Nd.upf
Mg 24.30 Mg.upf
Ni 58.69 Ni.upf
CELL_PARAMETERS angstrom
7.088 2.537 6.442
2.566 9.512 1.050
-2.359 4.881 8.293
ATOMIC_POSITIONS crystal
Nd 0.811 0.189 0.189
Nd 0.189 0.811 0.811
Nd 0.189 0.811 0.189
Nd 0.811 0.189 0.811
Nd 0.189 0.189 0.811
Nd 0.811 0.811 0.189
Nd 0.937 0.563 0.563
Nd 0.563 0.937 0.937
Nd 0.563 0.937 0.563
Nd 0.937 0.563 0.937
Nd 0.563 0.563 0.937
Nd 0.937 0.937 0.563
Nd 0.346 0.346 0.346
Nd 0.346 0.346 0.963
Nd 0.346 0.963 0.346
Nd 0.963 0.346 0.346
Mg 0.579 0.579 0.579
Mg 0.579 0.579 0.264
Mg 0.579 0.264 0.579
Mg 0.264 0.579 0.579
Ni 0.142 0.142 0.142
Ni 0.142 0.142 0.573
Ni 0.142 0.573 0.142
Ni 0.573 0.142 0.142



[11]
! LiNbS2 | Materials Project | r²SCAN | optimized geometry; values from VASP
! ΔH_f (0 K)   -1474.4 meV/atom
! Uncorrected energy   -98.173 eV/cell
&SYSTEM
  ibrav = 0, nat = 8, ntyp = 3
/
ATOMIC_SPECIES
Li 6.94 Li.upf
Nb 92.91 Nb.upf
S 32.06 S.upf
CELL_PARAMETERS angstrom
-1.711 -2.007 2.113
2.818 1.545 1.046
-6.986 10.088 3.923
ATOMIC_POSITIONS crystal
Li 0.000 0.000 0.000
Li 0.000 0.000 0.500
Nb 0.000 0.000 0.250
Nb 0.000 0.000 0.750
S 0.333 0.667 0.127
S 0.333 0.667 0.373
S 0.667 0.333 0.627
S 0.667 0.333 0.873



[12]
! TbTlAg2 | Materials Project | r²SCAN | optimized geometry; values from VASP
! ΔH_f (0 K)   -276.0 meV/atom
! Uncorrected energy   -128.221 eV/cell
&SYSTEM
  ibrav = 0, nat = 4, ntyp = 3
/
ATOMIC_SPECIES
Tb 158.93 Tb.upf
Tl 204.38 Tl.upf
Ag 107.87 Ag.upf
CELL_PARAMETERS angstrom
0.000 3.502 3.502
3.502 0.000 3.502
3.502 3.502 0.000
ATOMIC_POSITIONS crystal
Tb 0.250 0.250 0.250
Tl 0.750 0.750 0.750
Ag 0.500 0.500 0.500
Ag 0.000 0.000 0.000



[13]
! Rb2Nb3Cl9 | Materials Project | r²SCAN | optimized geometry; values from VASP
! ΔH_f (0 K)   -1673.2 meV/atom
! Uncorrected energy   -361.722 eV/cell
&SYSTEM
  ibrav = 0, nat = 28, ntyp = 3
/
ATOMIC_SPECIES
Rb 85.47 Rb.upf
Nb 92.91 Nb.upf
Cl 35.45 Cl.upf
CELL_PARAMETERS angstrom
8.463 5.277 0.006
-8.463 5.277 0.006
0.000 4.356 8.784
ATOMIC_POSITIONS crystal
Rb 0.052 0.735 0.821
Rb 0.265 0.948 0.179
Rb 0.948 0.265 0.179
Rb 0.735 0.052 0.821
Nb 0.611 0.611 0.631
Nb 0.389 0.389 0.369
Nb 0.453 0.279 0.640
Nb 0.721 0.547 0.360
Nb 0.547 0.721 0.360
Nb 0.279 0.453 0.640
Cl 0.749 0.749 0.792
Cl 0.251 0.251 0.208
Cl 0.820 0.820 0.171
Cl 0.180 0.180 0.829
Cl 0.108 0.315 0.510
Cl 0.685 0.892 0.490
Cl 0.892 0.685 0.490
Cl 0.315 0.108 0.510
Cl 0.294 0.706 0.500
Cl 0.706 0.294 0.500
Cl 0.426 0.631 0.182
Cl 0.369 0.574 0.818
Cl 0.574 0.369 0.818
Cl 0.631 0.426 0.182
Cl 0.392 0.000 0.819
Cl 0.000 0.608 0.181
Cl 0.608 0.000 0.181
Cl 0.000 0.392 0.819



[14]
! LiErO2 | Materials Project | r²SCAN | optimized geometry; values from VASP
! ΔH_f (0 K)   -3255.4 meV/atom
! Uncorrected energy   -245.116 eV/cell
! E above lowest polymorph   0.00 kJ per mole of atoms
&SYSTEM
  ibrav = 0, nat = 16, ntyp = 3
/
ATOMIC_SPECIES
Li 6.94 Li.upf
Er 167.26 Er.upf
O 16.00 O.upf
CELL_PARAMETERS angstrom
6.104 0.000 0.000
0.000 6.056 -0.013
0.000 2.965 5.364
ATOMIC_POSITIONS crystal
Li 0.348 0.717 0.054
Li 0.848 0.283 0.446
Li 0.652 0.283 0.946
Li 0.152 0.717 0.554
Er 0.870 0.763 0.983
Er 0.630 0.763 0.483
Er 0.130 0.237 0.017
Er 0.370 0.237 0.517
O 0.666 0.007 0.665
O 0.611 0.543 0.264
O 0.166 0.993 0.835
O 0.334 0.993 0.335
O 0.389 0.457 0.736
O 0.111 0.457 0.236
O 0.889 0.543 0.764
O 0.834 0.007 0.165



[15]
! PmNi2Sn | Materials Project | r²SCAN | optimized geometry; values from VASP
! ΔH_f (0 K)   -366.7 meV/atom
! Uncorrected energy   -79.717 eV/cell
&SYSTEM
  ibrav = 0, nat = 4, ntyp = 3
/
ATOMIC_SPECIES
Pm 145.00 Pm.upf
Ni 58.69 Ni.upf
Sn 118.71 Sn.upf
CELL_PARAMETERS angstrom
0.000 3.271 3.271
3.271 0.000 3.271
3.271 3.271 0.000
ATOMIC_POSITIONS crystal
Pm 0.250 0.250 0.250
Ni 0.000 0.000 0.000
Ni 0.500 0.500 0.500
Sn 0.750 0.750 0.750



[16]
! BaEuHfNbO6 | Materials Project | r²SCAN | optimized geometry; values from VASP
! ΔH_f (0 K)   -3287.7 meV/atom
! Uncorrected energy   -203.618 eV/cell
&SYSTEM
  ibrav = 0, nat = 10, ntyp = 5
/
ATOMIC_SPECIES
Ba 137.33 Ba.upf
Eu 151.96 Eu.upf
Hf 178.49 Hf.upf
Nb 92.91 Nb.upf
O 16.00 O.upf
CELL_PARAMETERS angstrom
0.000 -4.117 -4.117
4.117 0.000 -4.117
4.117 -4.117 0.000
ATOMIC_POSITIONS crystal
Ba 0.750 0.750 0.750
Eu 0.250 0.250 0.250
Hf 0.000 0.000 0.000
Nb 0.500 0.500 0.500
O 0.749 0.251 0.251
O 0.251 0.749 0.749
O 0.749 0.251 0.749
O 0.251 0.749 0.251
O 0.749 0.749 0.251
O 0.251 0.251 0.749